(1)
The following is a GGA-PBE calculation of a relaxed structure of Li2CdSiO4, from the Materials Project database.

a b c (Å): 5.1904 6.5267 10.8882
angles (deg): 90.00 90.00 90.00
Element x y z (fractional)
Li (0.6722, 0.4993, 0.0887)
Li (0.3278, 0.9993, 0.9113)
Li (0.1722, 0.5007, 0.4113)
Li (0.8278, 0.0007, 0.5887)
Li (0.1722, 0.9993, 0.4113)
Li (0.8278, 0.4993, 0.5887)
Li (0.6722, 0.0007, 0.0887)
Li (0.3278, 0.5007, 0.9113)
O (0.8492, 0.7500, 0.1458)
O (0.3492, 0.2500, 0.3542)
O (0.7910, 0.4531, 0.4120)
O (0.6508, 0.7500, 0.6458)
O (0.7090, 0.0469, 0.9120)
O (0.7566, 0.2500, 0.6941)
O (0.7434, 0.2500, 0.1941)
O (0.2090, 0.9531, 0.5880)
O (0.2566, 0.7500, 0.8059)
O (0.2090, 0.5469, 0.5880)
O (0.2434, 0.7500, 0.3059)
O (0.7910, 0.0469, 0.4120)
O (0.2910, 0.5469, 0.0880)
O (0.2910, 0.9531, 0.0880)
O (0.1508, 0.2500, 0.8542)
O (0.7090, 0.4531, 0.9120)
Cd (0.8279, 0.7500, 0.8363)
Cd (0.6721, 0.7500, 0.3363)
Cd (0.3279, 0.2500, 0.6637)
Cd (0.1721, 0.2500, 0.1637)
Si (0.8329, 0.2500, 0.8430)
Si (0.6671, 0.2500, 0.3430)
Si (0.3329, 0.7500, 0.6570)
Si (0.1671, 0.7500, 0.1570)

Computed properties:
Corrected total energy (MP2020 scheme) = -6.28 eV/atom
Volume = 368.8 Å³ per cell
Uncorrected energy = -5.94 eV/atom

---

(2)
The following is a GGA-PBE calculation of a relaxed structure of LiCd4Tc4O12, from the Materials Project database.

a b c (Å): 5.6046 5.5559 7.9315
angles (deg): 90.12 90.05 89.13
Element x y z (fractional)
Cd (0.4380, 0.4241, 0.2460)
Cd (0.0099, 0.9814, 0.7445)
Cd (0.4905, 0.4610, 0.7462)
Cd (0.9917, 0.0800, 0.2544)
O (0.2032, 0.2129, 0.9474)
O (0.8131, 0.8313, 0.4555)
O (0.8960, 0.5373, 0.7499)
O (0.1962, 0.2107, 0.5489)
O (0.3968, 0.9871, 0.2500)
O (0.6945, 0.3220, 0.4493)
O (0.7021, 0.3153, 0.0486)
O (0.3026, 0.7099, 0.9472)
O (0.8103, 0.8231, 0.0453)
O (0.0670, 0.4993, 0.2508)
O (0.2982, 0.7156, 0.5677)
O (0.6069, 0.0475, 0.7496)
Tc (0.4995, 0.0012, 0.9942)
Tc (0.4990, 0.0058, 0.5037)
Tc (0.0021, 0.5166, 0.9862)
Tc (0.9984, 0.5187, 0.5119)
Li (0.7746, 0.6800, 0.2525)

Computed properties:
Corrected total energy (MP2020 scheme) = -6.57 eV/atom
Volume = 247.0 Å³ per cell
Magnetization = 5.0 μB/f.u.
Uncorrected energy = -6.18 eV/atom

---

(3)
The following is a GGA-PBE calculation of a relaxed structure of LiCd4Tc4O12, from the Materials Project database.

a b c (Å): 5.5241 5.6089 7.9437
angles (deg): 91.12 87.95 89.98
Element x y z (fractional)
Tc (0.0044, 0.4784, 0.5034)
Tc (0.5273, 0.9979, 0.5069)
Tc (0.4900, 0.0028, 0.0021)
Tc (0.9947, 0.5093, 0.9986)
Cd (0.4899, 0.4545, 0.7532)
Cd (0.5101, 0.5502, 0.2598)
Cd (0.0102, 0.9495, 0.7657)
Cd (0.9691, 0.0811, 0.2024)
O (0.7112, 0.2887, 0.4494)
O (0.6859, 0.3092, 0.0569)
O (0.7878, 0.8021, 0.0552)
O (0.8136, 0.7854, 0.4431)
O (0.6104, 0.0379, 0.7544)
O (0.8946, 0.5376, 0.7533)
O (0.3142, 0.6871, 0.5527)
O (0.2056, 0.1848, 0.5621)
O (0.1945, 0.2054, 0.9448)
O (0.2915, 0.7101, 0.9385)
O (0.3843, 0.9626, 0.2571)
O (0.1075, 0.4647, 0.2472)
Li (0.1282, 0.8994, 0.4348)

Computed properties:
Corrected total energy (MP2020 scheme) = -6.58 eV/atom
Volume = 245.9 Å³ per cell
Magnetization = 5.0 μB/f.u.
Uncorrected energy = -6.19 eV/atom

---

(4)
The following is a GGA-PBE calculation of a relaxed structure of LiCd4Tc4O12, from the Materials Project database.

a b c (Å): 5.4347 5.6899 7.9096
angles (deg): 87.88 90.27 89.85
Element x y z (fractional)
O (0.2984, 0.7099, 0.5571)
O (0.1201, 0.4787, 0.2480)
O (0.2953, 0.6977, 0.9387)
O (0.2099, 0.1962, 0.9369)
O (0.6111, 0.0267, 0.7474)
O (0.8888, 0.5246, 0.7473)
O (0.8032, 0.7739, 0.0564)
O (0.3785, 0.9674, 0.2487)
O (0.6936, 0.3071, 0.4512)
O (0.7132, 0.2696, 0.0600)
O (0.7957, 0.8044, 0.4437)
O (0.1999, 0.2072, 0.5568)
Tc (0.9977, 0.4722, 0.9868)
Tc (0.4950, 0.9996, 0.5016)
Tc (0.0016, 0.5127, 0.5043)
Tc (0.5097, 0.9931, 0.9957)
Li (0.1383, 0.7801, 0.1493)
Cd (0.9696, 0.1029, 0.2853)
Cd (0.5364, 0.5441, 0.2462)
Cd (0.4810, 0.4462, 0.7455)
Cd (0.0175, 0.9477, 0.7512)

Computed properties:
Corrected total energy (MP2020 scheme) = -6.58 eV/atom
Volume = 244.4 Å³ per cell
Magnetization = 2.9 μB/f.u.
Uncorrected energy = -6.18 eV/atom

---

(5)
The following is a GGA-PBE calculation of a relaxed structure of LiCd4Tc4O12, from the Materials Project database.

a b c (Å): 5.5975 5.5350 7.9562
angles (deg): 89.77 90.03 88.99
Element x y z (fractional)
O (0.8996, 0.5299, 0.7492)
O (0.8180, 0.8160, 0.4526)
O (0.2108, 0.2033, 0.5555)
O (0.4042, 0.9795, 0.2513)
O (0.2072, 0.2019, 0.9487)
O (0.8159, 0.8131, 0.0443)
O (0.7072, 0.3077, 0.4507)
O (0.3082, 0.7025, 0.5558)
O (0.6148, 0.0292, 0.7491)
O (0.3065, 0.7025, 0.9372)
O (0.0774, 0.4871, 0.2515)
O (0.7099, 0.3055, 0.0509)
Tc (0.5056, 0.9937, 0.9967)
Tc (0.0088, 0.5081, 0.9875)
Tc (0.5058, 0.9929, 0.5055)
Tc (0.0104, 0.5073, 0.5138)
Cd (0.9957, 0.0707, 0.2474)
Cd (0.4476, 0.4157, 0.2473)
Cd (0.0161, 0.9700, 0.7538)
Cd (0.5009, 0.4529, 0.7523)
Li (0.7865, 0.6654, 0.2491)

Computed properties:
Corrected total energy (MP2020 scheme) = -6.58 eV/atom
Volume = 246.5 Å³ per cell
Magnetization = 0.1 μB/f.u.
Uncorrected energy = -6.19 eV/atom

---

(6)
The following is a GGA-PBE calculation of a relaxed structure of Li2ZnCdP2, from the Materials Project database.

a b c (Å): 4.1022 4.1022 7.1247
angles (deg): 73.27 90.00 120.00
Element x y z (fractional)
Cd (0.2508, 0.5015, 0.2477)
P (0.4968, 0.9937, 0.5095)
P (0.0037, 0.0074, 0.9889)
Li (0.3773, 0.7546, 0.8681)
Li (0.8720, 0.7440, 0.3840)
Zn (0.7494, 0.4988, 0.7518)

Computed properties:
Volume = 97.9 Å³ per cell
Magnetization = 0.0 μB/f.u.
Uncorrected energy = -2.91 eV/atom

---

(7)
The following is a GGA-PBE calculation of a relaxed structure of Li2ZnCdP2, from the Materials Project database.

a b c (Å): 7.3019 7.3019 7.3019
angles (deg): 33.49 33.49 33.49
Element x y z (fractional)
Cd (0.3754, 0.3754, 0.3754)
Li (0.1262, 0.1262, 0.1262)
Li (0.6244, 0.6244, 0.6244)
P (0.5037, 0.5037, 0.5037)
P (0.9949, 0.9949, 0.9949)
Zn (0.8753, 0.8753, 0.8753)

Computed properties:
Piezoelectric modulus e_max = 0.40 C/m²
Volume = 105.6 Å³ per cell
Uncorrected energy = -3.29 eV/atom

---

(8)
The following is a GGA-PBE calculation of a relaxed structure of Li2CdPb, from the Materials Project database.

a b c (Å): 4.8600 4.8600 4.8600
angles (deg): 60.00 60.00 60.00
Element x y z (fractional)
Li (0.7500, 0.7500, 0.7500)
Li (0.2500, 0.2500, 0.2500)
Pb (0.5000, 0.5000, 0.5000)
Cd (0.0000, 0.0000, 0.0000)

Computed properties:
Volume = 81.2 Å³ per cell
Uncorrected energy = -2.38 eV/atom

---

(9)
The following is a GGA-PBE calculation of a relaxed structure of Li2CdPb, from the Materials Project database.

a b c (Å): 4.9527 4.9527 4.9527
angles (deg): 60.00 60.00 60.00
Element x y z (fractional)
Li (0.5000, 0.5000, 0.5000)
Li (0.2500, 0.2500, 0.2500)
Cd (0.7500, 0.7500, 0.7500)
Pb (0.0000, 0.0000, 0.0000)

Computed properties:
Volume = 85.9 Å³ per cell
Magnetization = 0.0 μB/f.u.
Uncorrected energy = -2.35 eV/atom

---

(10)
The following is a GGA-PBE calculation of a relaxed structure of LiCd2Pd, from the Materials Project database.

a b c (Å): 4.6488 4.6488 4.6488
angles (deg): 60.00 60.00 60.00
Element x y z (fractional)
Li (0.5000, 0.5000, 0.5000)
Cd (0.7500, 0.7500, 0.7500)
Cd (0.2500, 0.2500, 0.2500)
Pd (0.0000, 0.0000, 0.0000)

Computed properties:
Volume = 71.0 Å³ per cell
Uncorrected energy = -2.64 eV/atom

---

(11)
The following is a GGA-PBE calculation of a relaxed structure of Li2TlCd, from the Materials Project database.

a b c (Å): 4.8058 4.8058 4.8058
angles (deg): 60.00 60.00 60.00
Element x y z (fractional)
Li (0.2500, 0.2500, 0.2500)
Li (0.7500, 0.7500, 0.7500)
Cd (0.5000, 0.5000, 0.5000)
Tl (0.0000, 0.0000, 0.0000)

Computed properties:
Volume = 78.5 Å³ per cell
Uncorrected energy = -2.03 eV/atom

---

(12)
The following is a GGA-PBE calculation of a relaxed structure of Li2TlCd, from the Materials Project database.

a b c (Å): 4.8757 4.8757 4.8757
angles (deg): 60.00 60.00 60.00
Element x y z (fractional)
Li (0.2500, 0.2500, 0.2500)
Li (0.0000, 0.0000, 0.0000)
Cd (0.7500, 0.7500, 0.7500)
Tl (0.5000, 0.5000, 0.5000)

Computed properties:
Volume = 82.0 Å³ per cell
Uncorrected energy = -2.01 eV/atom

---

(13)
The following is a GGA-PBE calculation of a relaxed structure of Li3Tl2Cd, from the Materials Project database.

a b c (Å): 3.4602 3.4602 10.1374
angles (deg): 90.00 90.00 90.00
Element x y z (fractional)
Tl (0.5000, 0.5000, 0.6664)
Tl (0.5000, 0.5000, 0.3336)
Li (0.0000, 0.0000, 0.5000)
Li (0.0000, 0.0000, 0.8349)
Li (0.0000, 0.0000, 0.1651)
Cd (0.5000, 0.5000, 0.0000)

Computed properties:
Volume = 121.4 Å³ per cell
Uncorrected energy = -2.13 eV/atom

---

(14)
The following is a GGA-PBE calculation of a relaxed structure of Li4ZnCd3, from the Materials Project database.

a b c (Å): 8.0988 8.0988 8.0988
angles (deg): 33.60 33.60 33.60
Element x y z (fractional)
Zn (0.3756, 0.3756, 0.3756)
Cd (0.8743, 0.8743, 0.8743)
Cd (0.7463, 0.7463, 0.7463)
Cd (0.2543, 0.2543, 0.2543)
Li (0.4976, 0.4976, 0.4976)
Li (0.0021, 0.0021, 0.0021)
Li (0.6247, 0.6247, 0.6247)
Li (0.1250, 0.1250, 0.1250)

Computed properties:
Volume = 144.9 Å³ per cell
Uncorrected energy = -1.69 eV/atom

---

(15)
The following is a GGA-PBE calculation of a relaxed structure of LuCd2, from the Materials Project database.

a b c (Å): 4.9198 4.9198 3.4307
angles (deg): 90.00 90.00 120.00
Element x y z (fractional)
Lu (0.0000, 0.0000, 0.0000)
Cd (0.3333, 0.6667, 0.4818)
Cd (0.6667, 0.3333, 0.5182)

Computed properties:
Volume = 71.9 Å³ per cell
Magnetization = 0.1 μB/f.u.
Uncorrected energy = -2.38 eV/atom

---

(16)
The following is a GGA-PBE calculation of a relaxed structure of LuCd3, from the Materials Project database.

a b c (Å): 6.4405 6.4405 4.8404
angles (deg): 90.00 90.00 111.82
Element x y z (fractional)
Cd (0.8824, 0.6870, 0.7500)
Cd (0.1789, 0.8211, 0.2500)
Cd (0.8211, 0.1789, 0.7500)
Cd (0.1176, 0.3130, 0.2500)
Cd (0.3130, 0.1176, 0.7500)
Cd (0.6870, 0.8824, 0.2500)
Lu (0.6289, 0.3711, 0.2500)
Lu (0.3711, 0.6289, 0.7500)

Computed properties:
Volume = 186.4 Å³ per cell
Uncorrected energy = -2.05 eV/atom

---

(17)
The following is a GGA-PBE calculation of a relaxed structure of Lu11Cd45, from the Materials Project database.

a b c (Å): 15.3489 15.3489 15.3489
angles (deg): 60.00 60.00 60.00
Element x y z (fractional)
Cd (0.5126, 0.1411, 0.8337)
Cd (0.5894, 0.5894, 0.9106)
Cd (0.8301, 0.8301, 0.8301)
Cd (0.3906, 0.0174, 0.2013)
Cd (0.9106, 0.9106, 0.5894)
Cd (0.0174, 0.3906, 0.3906)
Cd (0.7641, 0.4050, 0.7641)
Cd (0.2690, 0.4503, 0.6404)
Cd (0.8337, 0.5126, 0.5126)
Cd (0.6116, 0.2632, 0.8620)
Cd (0.2632, 0.6116, 0.2632)
Cd (0.2013, 0.3906, 0.3906)
Cd (0.3906, 0.3906, 0.0174)
Cd (0.8620, 0.6116, 0.2632)
Cd (0.6404, 0.6404, 0.4503)
Cd (0.9132, 0.9132, 0.2603)
Cd (0.2632, 0.6116, 0.8620)
Cd (0.3906, 0.2013, 0.3906)
Cd (0.8439, 0.1561, 0.1561)
Cd (0.1411, 0.8337, 0.5126)
Cd (0.5000, 0.5000, 0.5000)
Cd (0.6116, 0.2632, 0.2632)
Cd (0.8620, 0.2632, 0.2632)
Cd (0.8301, 0.8301, 0.5098)
Cd (0.1411, 0.5126, 0.5126)
Cd (0.9106, 0.5894, 0.5894)
Cd (0.7641, 0.4050, 0.0668)
Cd (0.9106, 0.5894, 0.9106)
Cd (0.4503, 0.6404, 0.6404)
Cd (0.1635, 0.5096, 0.1635)
Cd (0.5126, 0.8337, 0.5126)
Cd (0.3906, 0.0174, 0.3906)
Cd (0.8620, 0.2632, 0.6116)
Cd (0.5096, 0.1635, 0.1635)
Cd (0.0668, 0.4050, 0.7641)
Cd (0.0832, 0.0832, 0.0832)
Cd (0.5894, 0.9106, 0.9106)
Cd (0.5894, 0.9106, 0.5894)
Cd (0.4050, 0.7641, 0.0668)
Cd (0.9132, 0.9132, 0.9132)
Cd (0.1561, 0.8439, 0.8439)
Cd (0.0832, 0.0832, 0.7503)
Cd (0.5126, 0.8337, 0.1411)
Cd (0.2013, 0.3906, 0.0174)
Cd (0.2603, 0.9132, 0.9132)
Cd (0.1561, 0.8439, 0.1561)
Cd (0.1635, 0.1635, 0.1635)
Cd (0.3906, 0.2013, 0.0174)
Cd (0.7641, 0.7641, 0.0668)
Cd (0.4503, 0.6404, 0.2690)
Cd (0.4050, 0.0668, 0.7641)
Cd (0.0174, 0.3906, 0.2013)
Cd (0.2690, 0.6404, 0.4503)
Cd (0.5126, 0.5126, 0.1411)
Cd (0.1411, 0.5126, 0.8337)
Cd (0.1561, 0.1561, 0.8439)
Cd (0.3906, 0.3906, 0.2013)
Cd (0.2013, 0.0174, 0.3906)
Cd (0.8337, 0.5126, 0.1411)
Cd (0.7641, 0.0668, 0.4050)
Cd (0.2632, 0.8620, 0.6116)
Cd (0.6404, 0.2690, 0.4503)
Cd (0.0174, 0.2013, 0.3906)
Cd (0.0668, 0.7641, 0.4050)
Cd (0.0832, 0.7503, 0.0832)
Cd (0.2632, 0.8620, 0.2632)
Cd (0.4503, 0.2690, 0.6404)
Cd (0.0668, 0.7641, 0.7641)
Cd (0.5126, 0.1411, 0.5126)
Cd (0.5098, 0.8301, 0.8301)
Cd (0.8301, 0.5098, 0.8301)
Cd (0.5126, 0.5126, 0.8337)
Cd (0.7641, 0.0668, 0.7641)
Cd (0.4050, 0.7641, 0.7641)
Cd (0.1635, 0.1635, 0.5096)
Cd (0.6116, 0.8620, 0.2632)
Cd (0.8439, 0.1561, 0.8439)
Cd (0.8439, 0.8439, 0.1561)
Cd (0.2632, 0.2632, 0.8620)
Cd (0.8337, 0.1411, 0.5126)
Cd (0.6404, 0.4503, 0.2690)
Cd (0.6404, 0.4503, 0.6404)
Cd (0.7641, 0.7641, 0.4050)
Cd (0.6404, 0.2690, 0.6404)
Cd (0.7500, 0.7500, 0.7500)
Cd (0.2632, 0.2632, 0.6116)
Cd (0.7503, 0.0832, 0.0832)
Cd (0.9132, 0.2603, 0.9132)
Cd (0.6404, 0.6404, 0.2690)
Cd (0.2690, 0.6404, 0.6404)
Lu (0.2500, 0.2500, 0.2500)
Lu (0.0138, 0.3344, 0.0138)
Lu (0.4064, 0.7809, 0.4064)
Lu (0.6381, 0.0138, 0.0138)
Lu (0.6616, 0.0151, 0.6616)
Lu (0.6616, 0.6616, 0.0151)
Lu (0.0138, 0.6381, 0.0138)
Lu (0.0138, 0.3344, 0.6381)
Lu (0.6381, 0.0138, 0.3344)
Lu (0.3344, 0.0138, 0.0138)
Lu (0.0138, 0.0138, 0.6381)
Lu (0.0151, 0.6616, 0.6616)
Lu (0.0000, 0.0000, 0.0000)
Lu (0.3344, 0.6381, 0.0138)
Lu (0.4064, 0.4064, 0.4064)
Lu (0.6616, 0.6616, 0.6616)
Lu (0.6381, 0.3344, 0.0138)
Lu (0.4064, 0.4064, 0.7809)
Lu (0.0138, 0.0138, 0.3344)
Lu (0.0138, 0.6381, 0.3344)
Lu (0.3344, 0.0138, 0.6381)
Lu (0.7809, 0.4064, 0.4064)

Computed properties:
Volume = 2556.9 Å³ per cell
Magnetization = 0.4 μB/f.u.
Uncorrected energy = -1.81 eV/atom

---

Sequential ΔH_f (0 K) output: -2.538 -1.503 -1.510 -1.509 -1.513 -0.103 -0.489 -0.270 -0.239 -0.405 -0.250 -0.234 -0.239 -0.234 -0.260 -0.229 -0.178 eV/atom